Record 1
DFT (PBE+U) results for MgZn2Fe4O8 after structural relaxation.

Calculated values
DFT total energy = -5.597 eV per atom
Space-group type = C2/m, No. 12
Energy of formation from the pure elements = -1.393 eV per atom

Geometry as extended XYZ:
```
15
Lattice="5.604 -0.158 2.998 1.724 4.892 2.998 0.000 0.000 5.996" Properties=species:S:1:pos:R:3 pbc="T T T"
O 2.838 1.811 7.531
O 3.728 4.206 5.996
Fe 1.417 1.379 2.998
O 2.838 1.811 4.461
Fe 4.580 2.959 7.495
Fe 2.139 4.697 8.994
Zn 1.778 3.038 5.996
Fe 4.580 2.959 4.497
O 5.220 1.846 5.996
O 3.939 4.072 8.994
O 5.432 1.712 8.994
Mg 3.718 0.513 2.998
O 6.321 4.107 7.459
Zn 3.718 0.513 5.996
O 6.321 4.107 10.529
```

=====

Record 2
DFT (PBE+U) results for MgZn2Fe4O8 after structural relaxation.

Calculated values
DFT total energy = -5.879 eV per atom
Space-group type = P1, No. 1
Energy of formation from the pure elements = -1.675 eV per atom

Geometry as extended XYZ:
```
15
Lattice="5.511 0.129 -2.945 -3.531 5.002 -0.016 0.048 0.053 6.010" Properties=species:S:1:pos:R:3 pbc="T T T"
O -0.753 1.583 1.494
Zn 1.536 4.820 -1.424
O 1.776 1.260 2.856
O 1.786 1.257 0.122
Fe 3.488 2.458 -0.092
Zn 0.758 0.552 4.518
Fe 1.007 2.616 1.498
O 4.424 1.492 1.531
Mg -0.586 3.351 4.564
Fe 3.380 2.394 3.290
O 2.889 3.674 1.527
O 0.330 3.976 0.094
O 0.319 3.976 2.947
O -2.294 3.768 1.497
Fe -0.722 5.079 1.494
```

=====

Record 3
DFT (PBE+U) results for MgZn2Fe4O8 after structural relaxation.

Calculated values
DFT total energy = -5.483 eV per atom
Space-group type = C2/m, No. 12
Energy of formation from the pure elements = -1.279 eV per atom

Geometry as extended XYZ:
```
15
Lattice="5.382 -0.455 3.034 1.400 4.894 3.034 0.000 0.000 6.068" Properties=species:S:1:pos:R:3 pbc="T T T"
Zn 1.548 3.002 6.068
Zn 3.539 0.328 6.068
Fe 4.239 2.775 7.585
Mg 3.539 0.328 3.034
O 5.240 1.462 9.102
O 2.648 1.575 7.609
O 3.524 3.763 9.102
Fe 1.867 4.756 9.102
Fe 4.239 2.775 4.551
O 3.237 4.087 6.068
O 5.830 3.975 7.560
O 2.648 1.575 4.527
Fe 1.229 1.248 3.034
O 5.830 3.975 10.643
O 4.953 1.787 6.068
```

=====

no.,energy above the lowest structure with this stoichiometry (kJ/mol of atoms)
1,29.4
2,2.2
3,40.4